A plane-wave DFT calculation with PBE was carried out for SrN2 after structural relaxation.

The structure in CIF format:
```
data_SrN2
_chemical_formula_sum 'Sr2 N4'
_cell_length_a 3.8644
_cell_length_b 3.8644
_cell_length_c 6.2878
_cell_angle_alpha 90.00
_cell_angle_beta 90.00
_cell_angle_gamma 90.00
_space_group_name_H-M_alt 'I 4/m m m'
_space_group_IT_number 139
_space_group_name_Hall '-I 4 2'
loop_
_atom_site_label
_atom_site_type_symbol
_atom_site_fract_x
_atom_site_fract_y
_atom_site_fract_z
_atom_site_occupancy
Sr1 Sr 0.0000 0.0000 0.0000 1
N1 N 0.0000 0.0000 0.4004 1
```



A plane-wave DFT calculation with PBE was carried out for SbAu3 after structural relaxation.

The structure in CIF format:
```
data_SbAu3
_chemical_formula_sum 'Sb2 Au6'
_cell_length_a 4.2788
_cell_length_b 4.2788
_cell_length_c 8.7321
_cell_angle_alpha 90.00
_cell_angle_beta 90.00
_cell_angle_gamma 90.00
_space_group_name_H-M_alt 'I 4/m m m'
_space_group_IT_number 139
_space_group_name_Hall '-I 4 2'
loop_
_atom_site_label
_atom_site_type_symbol
_atom_site_fract_x
_atom_site_fract_y
_atom_site_fract_z
_atom_site_occupancy
Sb1 Sb 0.0000 0.0000 0.0000 1
Au1 Au 0.0000 0.0000 0.5000 1
Au2 Au 0.0000 0.5000 0.2500 1
```



A plane-wave DFT calculation with PBE was carried out for CeSn2Rh2 after structural relaxation.

The structure in CIF format:
```
data_CeSn2Rh2
_chemical_formula_sum 'Ce2 Sn4 Rh4'
_cell_length_a 4.5170
_cell_length_b 4.5170
_cell_length_c 10.7122
_cell_angle_alpha 90.00
_cell_angle_beta 90.00
_cell_angle_gamma 90.00
_space_group_name_H-M_alt 'P 4/n m m'
_space_group_IT_number 129
loop_
_space_group_symop_operation_xyz
'x,y,z'
'-x,-y,-z'
'-y+1/2,x,z'
'y+1/2,-x,-z'
'-x+1/2,-y+1/2,z'
'x+1/2,y+1/2,-z'
'y,-x+1/2,z'
'-y,x+1/2,-z'
'x+1/2,-y,-z'
'-x+1/2,y,z'
'-y,-x,-z'
'y,x,z'
'-x,y+1/2,-z'
'x,-y+1/2,z'
'y+1/2,x+1/2,-z'
'-y+1/2,-x+1/2,z'
loop_
_atom_site_label
_atom_site_type_symbol
_atom_site_fract_x
_atom_site_fract_y
_atom_site_fract_z
_atom_site_occupancy
Ce1 Ce 0.2500 0.2500 0.2470 1
Sn1 Sn 0.2500 0.2500 0.8722 1
Sn2 Sn 0.2500 0.7500 0.5000 1
Rh1 Rh 0.2500 0.2500 0.6324 1
Rh2 Rh 0.2500 0.7500 0.0000 1
```



| no. | calculated total energy (eV/atom) | formation energy (eV/atom) |
| --- | --- | --- |
| 1 | -6.61 | -0.734 |
| 2 | -3.44 | 0.048 |
| 3 | -6.41 | -0.673 |